Cs2RbYF6: optimized geometry, PBE.

For the calculated formation energy, the calculation gives -3.56 eV/atom. The value obtained for the calculated density is 3.88 g/cm³.

It has space group Fm-3m (No. 225), with a = 9.824 Å, b = 9.824 Å, c = 9.824 Å, α = 90.00°, β = 90.00° and γ = 90.00°. The inequivalent atoms are Cs at (0.250, 0.250, 0.250), Rb at (0.000, 0.000, 0.000), Y at (0.000, 0.000, 0.500) and F at (0.000, 0.000, 0.276).